Record 1
DFT (PBE) results for an optimized crystal structure of TiSiAg2O5.

The structure in extended XYZ format:
```
18
Lattice="6.559 0.000 0.000 0.000 6.559 0.000 0.000 0.000 5.528" Properties=species:S:1:pos:R:3 pbc="T T T"
Ti 1.640 1.640 0.349
Ti 4.919 4.919 5.179
Si 1.640 4.919 0.000
Si 4.919 1.640 0.000
Ag 0.000 0.000 2.764
Ag 0.000 3.280 2.764
Ag 3.280 0.000 2.764
Ag 3.280 3.280 2.764
O 0.279 4.919 4.597
O 1.640 1.640 4.165
O 1.640 3.558 0.930
O 1.640 6.280 0.930
O 3.001 4.919 4.597
O 3.558 1.640 0.930
O 4.919 0.279 4.597
O 4.919 3.001 4.597
O 4.919 4.919 1.363
O 6.280 1.640 0.930
```

Summary:
Total energy = -6.7822 eV/atom
Volume = 237.8 Å³ per cell
Space-group type = P4/nmm (129)
Size of the total moment = 0.0 μB per formula unit
Formation energy = -20.75 eV per formula unit

***

Record 2
DFT (PBE) results for an optimized crystal structure of LiB2O3.

The structure in extended XYZ format:
```
48
Lattice="-5.941 5.941 5.988 5.941 -5.941 5.988 5.941 5.941 -5.988" Properties=species:S:1:pos:R:3 pbc="T T T"
Li 3.138 -2.795 2.994
Li 2.795 2.804 0.000
Li 8.737 3.138 0.000
Li 8.745 2.795 2.994
Li 2.804 3.146 2.994
Li -2.795 2.804 5.988
Li 3.146 3.138 5.988
Li -2.804 8.737 2.994
B 7.299 1.015 -0.586
B 4.899 1.586 -1.039
B 4.355 4.899 -4.033
B 6.956 4.584 -3.580
B 1.586 1.042 1.955
B 4.899 -1.586 4.949
B -1.015 1.357 2.408
B 1.357 4.927 -0.586
B 4.584 1.015 5.402
B 1.042 7.528 -1.039
B 1.586 -1.042 7.943
B 4.927 4.584 2.408
B 4.355 6.984 1.955
B 1.042 4.355 4.949
B 1.015 1.357 8.396
B -1.357 4.927 5.402
O 5.634 4.456 -3.602
O 6.296 1.842 -0.970
O 4.025 2.506 -1.391
O 1.842 -0.355 2.024
O 4.025 -2.506 4.597
O 4.099 6.296 -3.964
O 6.296 -1.842 5.018
O 2.506 1.916 1.603
O 0.307 1.485 2.386
O 4.456 -0.307 5.380
O 2.506 -1.916 7.591
O 1.485 6.249 -0.608
O 6.249 4.456 2.386
O 5.587 1.842 5.018
O 1.916 8.448 -1.391
O 4.099 5.587 2.024
O 1.916 3.435 4.597
O 1.842 0.355 8.011
O -0.355 4.099 5.018
O 3.435 7.858 1.603
O -0.307 1.485 8.374
O 1.485 5.634 5.380
O 3.435 4.025 7.591
O -1.485 6.249 5.380
```

Summary:
Distance to the lowest polymorph of the same formula = 0 meV/atom
Total energy = -6.7648 eV/atom
Volume = 845.5 Å³ per cell
Space-group type = I4_1cd (110)
Size of the total moment = 1.0 μB per formula unit
Formation energy = -12.54 eV per formula unit

***

Number 2 is which compound? LiB2O3